# Ca3FeN3, relaxed, DFT meta-GGA r2SCAN
# * space group: P6_3/m (176)
# * V: 111 Å³/f.u.
# * raw total energy: -9.92 eV/atom
# * DFT formation energy: -930 meV per atom
data_Ca3FeN3
_cell_length_a 7.1810
_cell_length_b 7.1810
_cell_length_c 4.9774
_cell_angle_alpha 90.00
_cell_angle_beta 90.00
_cell_angle_gamma 120.00
_symmetry_space_group_name_H-M 'P 1'
_symmetry_Int_Tables_number 1
_symmetry_space_group_name_Hall 'P 1'
loop_
_atom_site_label
_atom_site_type_symbol
_atom_site_fract_x
_atom_site_fract_y
_atom_site_fract_z
_atom_site_occupancy
Ca1 Ca 0.2775 0.9159 0.7500 1
Ca2 Ca 0.6384 0.7225 0.7500 1
Ca3 Ca 0.0841 0.3616 0.7500 1
Ca4 Ca 0.7225 0.0842 0.2500 1
Ca5 Ca 0.3617 0.2775 0.2500 1
Ca6 Ca 0.9158 0.6383 0.2500 1
Fe1 Fe 0.3333 0.6667 0.2500 1
Fe2 Fe 0.6667 0.3333 0.7500 1
N1 N 0.3015 0.8968 0.2500 1
N2 N 0.5953 0.6985 0.2500 1
N3 N 0.1032 0.4047 0.2500 1
N4 N 0.6985 0.1033 0.7500 1
N5 N 0.4048 0.3015 0.7500 1
N6 N 0.8967 0.5952 0.7500 1